VASP calculation (r²SCAN) on crystalline K2Na3TlO4 at its relaxed geometry.

Cell: 9.2209 9.5324 7.6709 Å, 90.00 90.00 90.00°
With the nearest neighbours (Å) after each atom.
Element x y z (fractional)
K 0.0000 0.0000 0.2464  6 O 2.79-2.94
K 0.0000 0.0000 0.7536  6 O 2.79-2.94
K 0.2364 0.2502 0.5000  4 O 2.75-2.99
K 0.2636 0.7502 0.0000  4 O 2.75-2.99
K 0.5000 0.5000 0.2536  6 O 2.79-2.94
K 0.5000 0.5000 0.7464  6 O 2.79-2.94
K 0.7364 0.2498 0.0000  4 O 2.75-2.99
K 0.7636 0.7498 0.5000  4 O 2.75-2.99
Na 0.0168 0.6509 0.2494  4 O 2.30-2.37
Na 0.0168 0.6509 0.7506  4 O 2.30-2.37
Na 0.2399 0.5844 0.5000  4 O 2.20-2.47
Na 0.2601 0.0844 0.0000  4 O 2.20-2.47
Na 0.4832 0.1509 0.2506  4 O 2.30-2.37
Na 0.4832 0.1509 0.7494  4 O 2.30-2.37
Na 0.5168 0.8491 0.2506  4 O 2.30-2.37
Na 0.5168 0.8491 0.7494  4 O 2.30-2.37
Na 0.7399 0.9156 0.0000  4 O 2.20-2.47
Na 0.7601 0.4156 0.5000  4 O 2.20-2.47
Na 0.9832 0.3491 0.2494  4 O 2.30-2.37
Na 0.9832 0.3491 0.7506  4 O 2.30-2.37
Tl 0.2274 0.3794 0.0000  4 O 2.15-2.24
Tl 0.2726 0.8794 0.5000  4 O 2.15-2.24
Tl 0.7274 0.1206 0.5000  4 O 2.15-2.24
Tl 0.7726 0.6206 0.0000  4 O 2.15-2.24
O 0.0474 0.2219 0.0000  1 Tl 2.24, 3 Na 2.34-2.36
O 0.0604 0.7761 0.5000  1 Tl 2.19, 2 Na 2.30
O 0.1981 0.4845 0.2459  1 Tl 2.15, 3 Na 2.20-2.37
O 0.1981 0.4845 0.7541  1 Tl 2.15, 3 Na 2.20-2.37
O 0.3019 0.9845 0.2541  1 Tl 2.15, 3 Na 2.20-2.37
O 0.3019 0.9845 0.7459  1 Tl 2.15, 3 Na 2.20-2.37
O 0.4396 0.2761 0.0000  1 Tl 2.19, 2 Na 2.30
O 0.4526 0.7219 0.5000  1 Tl 2.24, 3 Na 2.34-2.36
O 0.5474 0.2781 0.5000  1 Tl 2.24, 3 Na 2.34-2.36
O 0.5604 0.7239 0.0000  1 Tl 2.19, 2 Na 2.30
O 0.6981 0.0155 0.2541  1 Tl 2.15, 3 Na 2.20-2.37
O 0.6981 0.0155 0.7459  1 Tl 2.15, 3 Na 2.20-2.37
O 0.8019 0.5155 0.2459  1 Tl 2.15, 3 Na 2.20-2.37
O 0.8019 0.5155 0.7541  1 Tl 2.15, 3 Na 2.20-2.37
O 0.9396 0.2239 0.5000  1 Tl 2.19, 2 Na 2.30
O 0.9526 0.7781 0.0000  1 Tl 2.24, 3 Na 2.34-2.36

M_tot = 0.0058 μB per atom
space group = Pnnm
formation energy from the elements = -129.5 kJ/mol of atoms
crystal system = orthorhombic



VASP calculation (r²SCAN) on crystalline UB4H16 at its relaxed geometry.

Cell: 7.3982 7.3982 13.2259 Å, 90.00 90.00 90.00°
With the nearest neighbours (Å) after each atom.
Element x y z (fractional)
U 0.0700 0.0700 0.0000  14 H 2.26-2.44, 2 B 2.48
U 0.4300 0.5700 0.7500  14 H 2.26-2.44, 2 B 2.48
U 0.5700 0.4300 0.2500  14 H 2.26-2.44, 2 B 2.48
U 0.9300 0.9300 0.5000  14 H 2.26-2.44, 2 B 2.48
B 0.0827 0.7917 0.1050  4 H 1.19-1.24
B 0.1605 0.7126 0.6234  4 H 1.22-1.23
B 0.2083 0.9173 0.3950  4 H 1.19-1.24
B 0.2126 0.3395 0.8734  4 H 1.22-1.23
B 0.2874 0.8395 0.8766  4 H 1.22-1.23
B 0.2917 0.4173 0.3550  4 H 1.19-1.24
B 0.3395 0.2126 0.1266  4 H 1.22-1.23
B 0.4173 0.2917 0.6450  4 H 1.19-1.24
B 0.5827 0.7083 0.1450  4 H 1.19-1.24
B 0.6605 0.7874 0.6266  4 H 1.22-1.23
B 0.7083 0.5827 0.8550  4 H 1.19-1.24
B 0.7126 0.1605 0.3766  4 H 1.22-1.23
B 0.7874 0.6605 0.3734  4 H 1.22-1.23
B 0.7917 0.0827 0.8950  4 H 1.19-1.24
B 0.8395 0.2874 0.1234  4 H 1.22-1.23
B 0.9173 0.2083 0.6050  4 H 1.19-1.24
H 0.0041 0.2235 0.5248  1 B 1.24
H 0.0107 0.9217 0.1485  1 B 1.24
H 0.0520 0.6460 0.5645  1 B 1.22
H 0.0783 0.9893 0.3515  1 B 1.24
H 0.0887 0.6569 0.1539  1 B 1.19
H 0.1218 0.8466 0.8747  1 B 1.23
H 0.1272 0.6559 0.7085  1 B 1.23
H 0.1460 0.4480 0.8145  1 B 1.22
H 0.1466 0.7667 0.4190  1 B 1.24
H 0.1534 0.8782 0.6253  1 B 1.23
H 0.1559 0.3728 0.9585  1 B 1.23
H 0.1569 0.4113 0.4039  1 B 1.19
H 0.1701 0.1867 0.8452  1 B 1.23
H 0.1867 0.1701 0.1548  1 B 1.23
H 0.2235 0.0041 0.4752  1 B 1.24
H 0.2333 0.8534 0.0810  1 B 1.24
H 0.2667 0.3534 0.6690  1 B 1.24
H 0.2765 0.5041 0.2748  1 B 1.24
H 0.3133 0.6701 0.5952  1 B 1.23
H 0.3299 0.6867 0.9048  1 B 1.23
H 0.3431 0.9113 0.3461  1 B 1.19
H 0.3441 0.8728 0.7915  1 B 1.23
H 0.3466 0.3782 0.1247  1 B 1.23
H 0.3534 0.2667 0.3310  1 B 1.24
H 0.3540 0.9480 0.9355  1 B 1.22
H 0.3728 0.1559 0.0415  1 B 1.23
H 0.3782 0.3466 0.8753  1 B 1.23
H 0.4113 0.1569 0.5961  1 B 1.19
H 0.4217 0.4893 0.3985  1 B 1.24
H 0.4480 0.1460 0.1855  1 B 1.22
H 0.4893 0.4217 0.6015  1 B 1.24
H 0.4959 0.7235 0.2252  1 B 1.24
H 0.5041 0.2765 0.7252  1 B 1.24
H 0.5107 0.5783 0.1015  1 B 1.24
H 0.5520 0.8540 0.6855  1 B 1.22
H 0.5783 0.5107 0.8985  1 B 1.24
H 0.5887 0.8431 0.0961  1 B 1.19
H 0.6218 0.6534 0.3753  1 B 1.23
H 0.6272 0.8441 0.5415  1 B 1.23
H 0.6460 0.0520 0.4355  1 B 1.22
H 0.6466 0.7333 0.8310  1 B 1.24
H 0.6534 0.6218 0.6247  1 B 1.23
H 0.6559 0.1272 0.2915  1 B 1.23
H 0.6569 0.0887 0.8461  1 B 1.19
H 0.6701 0.3133 0.4048  1 B 1.23
H 0.6867 0.3299 0.0952  1 B 1.23
H 0.7235 0.4959 0.7748  1 B 1.24
H 0.7333 0.6466 0.1690  1 B 1.24
H 0.7667 0.1466 0.5810  1 B 1.24
H 0.7765 0.9959 0.9752  1 B 1.24
H 0.8133 0.8299 0.6548  1 B 1.23
H 0.8299 0.8133 0.3452  1 B 1.23
H 0.8431 0.5887 0.9039  1 B 1.19
H 0.8441 0.6272 0.4585  1 B 1.23
H 0.8466 0.1218 0.1253  1 B 1.23
H 0.8534 0.2333 0.9190  1 B 1.24
H 0.8540 0.5520 0.3145  1 B 1.22
H 0.8728 0.3441 0.2085  1 B 1.23
H 0.8782 0.1534 0.3747  1 B 1.23
H 0.9113 0.3431 0.6539  1 B 1.19
H 0.9217 0.0107 0.8515  1 B 1.24
H 0.9480 0.3540 0.0645  1 B 1.22
H 0.9893 0.0783 0.6485  1 B 1.24
H 0.9959 0.7765 0.0248  1 B 1.24

M_tot = 0.0952 μB per atom
space group = P4_32_12
formation energy from the elements = -19.5 kJ/mol of atoms
crystal system = tetragonal



VASP calculation (r²SCAN) on crystalline TaVB4 at its relaxed geometry.

Cell: 3.0488 3.0488 6.3179 Å, 90.00 90.00 120.00°
With the nearest neighbours (Å) after each atom.
Element x y z (fractional)
Ta 0.0000 0.0000 0.0000  12 B 2.42
V 0.0000 0.0000 0.5000  12 B 2.31
B 0.3333 0.6667 0.2633  3 B 1.76
B 0.3333 0.6667 0.7367  3 B 1.76
B 0.6667 0.3333 0.2633  3 B 1.76
B 0.6667 0.3333 0.7367  3 B 1.76

M_tot = 0.0000 μB per atom
space group = P6/mmm
formation energy from the elements = -68.6 kJ/mol of atoms
crystal system = hexagonal



VASP calculation (r²SCAN) on crystalline NbSbF10 at its relaxed geometry.

Cell: 5.6515 7.2203 9.2741 Å, 87.26 73.79 79.53°
With the nearest neighbours (Å) after each atom.
Element x y z (fractional)
Nb 0.1690 0.3616 0.2181  4 F 1.84-1.88
Nb 0.8310 0.6384 0.7819  4 F 1.84-1.88
Sb 0.4700 0.2342 0.6829  6 F 1.86-1.97
Sb 0.5300 0.7658 0.3171  6 F 1.86-1.97
F 0.0103 0.1968 0.1515  1 Nb 1.84
F 0.0697 0.3268 0.4253  1 Nb 1.86
F 0.1908 0.5435 0.0656  1 Nb 1.88
F 0.1996 0.4554 0.7134  1 Sb 1.97, 1 Nb 2.20
F 0.2412 0.0838 0.6715  1 Sb 1.86
F 0.2539 0.9602 0.3389  1 Sb 1.87
F 0.3204 0.5821 0.3027  1 Sb 1.96
F 0.3935 0.2201 0.8929  1 Sb 1.88
F 0.4528 0.7119 0.5221  1 Sb 1.87
F 0.4951 0.2353 0.1684  1 Nb 1.84
F 0.5049 0.7647 0.8316  1 Nb 1.84
F 0.5472 0.2881 0.4779  1 Sb 1.87
F 0.6065 0.7799 0.1071  1 Sb 1.88
F 0.6796 0.4179 0.6973  1 Sb 1.96
F 0.7461 0.0398 0.6611  1 Sb 1.87
F 0.7588 0.9162 0.3285  1 Sb 1.86
F 0.8004 0.5446 0.2866  1 Sb 1.97, 1 Nb 2.20
F 0.8092 0.4565 0.9344  1 Nb 1.88
F 0.9303 0.6732 0.5747  1 Nb 1.86
F 0.9897 0.8032 0.8485  1 Nb 1.84

M_tot = 0.0000 μB per atom
space group = P-1
formation energy from the elements = -268.7 kJ/mol of atoms
crystal system = triclinic



VASP calculation (r²SCAN) on crystalline NaBF4 at its relaxed geometry.

Cell: 4.5247 4.5247 6.7213 Å, 90.00 90.00 83.97°
With the nearest neighbours (Å) after each atom.
Element x y z (fractional)
Na 0.1477 0.8523 0.7500  8 F 2.26-2.50
Na 0.8523 0.1477 0.2500  8 F 2.26-2.50
B 0.3488 0.6512 0.2500  4 F 1.40-1.41
B 0.6512 0.3488 0.7500  4 F 1.40-1.41
F 0.2124 0.7876 0.0806  1 B 1.41
F 0.2124 0.7876 0.4194  1 B 1.41
F 0.3147 0.3462 0.2500  1 B 1.40
F 0.3462 0.3147 0.7500  1 B 1.40
F 0.6538 0.6853 0.2500  1 B 1.40
F 0.6853 0.6538 0.7500  1 B 1.40
F 0.7876 0.2124 0.5806  1 B 1.41
F 0.7876 0.2124 0.9194  1 B 1.41

M_tot = 0.0000 μB per atom
space group = Cmcm
formation energy from the elements = -302.8 kJ/mol of atoms
crystal system = orthorhombic



VASP calculation (r²SCAN) on crystalline NdIO at its relaxed geometry.

Cell: 4.0799 4.0799 9.4820 Å, 90.00 90.00 90.00°
With the nearest neighbours (Å) after each atom.
Element x y z (fractional)
Nd 0.2500 0.2500 0.1226  4 O 2.35
Nd 0.7500 0.7500 0.8774  4 O 2.35
I 0.2500 0.2500 0.6774  4 Nd 3.45, 4 O 3.68
I 0.7500 0.7500 0.3226  4 Nd 3.45, 4 O 3.68
O 0.2500 0.7500 0.0000  4 Nd 2.35
O 0.7500 0.2500 0.0000  4 Nd 2.35

M_tot = 0.0000 μB per atom
space group = P4/nmm
formation energy from the elements = -287.7 kJ/mol of atoms
crystal system = tetragonal